The following is a PBE calculation of a relaxed Te2MoWSeS crystal, from Materials Project.

a = 3.399 Å, b = 3.399 Å, c = 39.430 Å
α = 90.00°, β = 90.00°, γ = 120.00°
Positions (direct):
Te (0.000, 0.000, 0.234)
Te (0.000, 0.000, 0.329)
Te (0.333, 0.667, 0.518)
Te (0.333, 0.667, 0.422)
Se (0.000, 0.000, 0.616)
Se (0.000, 0.000, 0.700)
S (0.333, 0.667, 0.056)
S (0.333, 0.667, 0.132)
Mo (0.333, 0.667, 0.281)
Mo (0.000, 0.000, 0.094)
W (0.333, 0.667, 0.658)
W (0.000, 0.000, 0.470)

Computed properties:
Energy relative to the lowest polymorph listed for this composition, eV/f.u.: 0.215
ΔH_f (0 K), kcal/mol of atoms: -10.86
Final energy, eV/atom: -6.674
Total magnetic moment, μB per atom: 0.000
Space group: P3m1